Entry 1:
U2AlCo2 after structural relaxation, computed with GGA-PBE.

Cell: 7.0867 7.0867 3.3947 Å, 90.00 90.00 90.00°
With the nearest neighbours (Å) after each atom.
Fractional coordinates of all 10 atoms:
U 0.1717 0.3283 0.0000  6 Co 2.56-2.78
U 0.3283 0.8283 0.0000  6 Co 2.56-2.78
U 0.6717 0.1717 0.0000  6 Co 2.56-2.78
U 0.8283 0.6717 0.0000  6 Co 2.56-2.78
Al 0.0000 0.0000 0.5000  4 Co 2.75
Al 0.5000 0.5000 0.5000  4 Co 2.75
Co 0.1372 0.6372 0.5000  6 U 2.56-2.78, 2 Al 2.75, 1 Co 2.75
Co 0.3628 0.1372 0.5000  6 U 2.56-2.78, 2 Al 2.75, 1 Co 2.75
Co 0.6372 0.8628 0.5000  6 U 2.56-2.78, 2 Al 2.75, 1 Co 2.75
Co 0.8628 0.3628 0.5000  6 U 2.56-2.78, 2 Al 2.75, 1 Co 2.75

Computed properties:
- Calculated formation energy: -254 meV per atom
- Total DFT energy (no corrections): -8.363 eV per atom

---

Entry 2:
Dy3P6Pd20 after structural relaxation, computed with GGA-PBE.

Cell: 8.6902 8.6902 8.6902 Å, 60.00 60.00 60.00°
With the nearest neighbours (Å) after each atom.
Fractional coordinates of all 29 atoms:
Dy 0.0000 0.0000 0.0000  12 Pd 3.00, 6 P 3.24
Dy 0.2500 0.2500 0.2500  4 Pd 2.85
Dy 0.7500 0.7500 0.7500  4 Pd 2.85
P 0.2638 0.2638 0.7362  8 Pd 2.40-2.50
P 0.2638 0.7362 0.2638  8 Pd 2.40-2.50
P 0.2638 0.7362 0.7362  8 Pd 2.40-2.50
P 0.7362 0.2638 0.2638  8 Pd 2.40-2.50
P 0.7362 0.2638 0.7362  8 Pd 2.40-2.50
P 0.7362 0.7362 0.2638  8 Pd 2.40-2.50
Pd 0.0000 0.0000 0.3450  2 P 2.40
Pd 0.0000 0.0000 0.6550  2 P 2.40
Pd 0.0000 0.3450 0.0000  2 P 2.40
Pd 0.0000 0.3450 0.6550  2 P 2.40
Pd 0.0000 0.6550 0.0000  2 P 2.40
Pd 0.0000 0.6550 0.3450  2 P 2.40
Pd 0.1522 0.6159 0.6159  3 P 2.50
Pd 0.3450 0.0000 0.0000  2 P 2.40
Pd 0.3450 0.0000 0.6550  2 P 2.40
Pd 0.3450 0.6550 0.0000  2 P 2.40
Pd 0.3841 0.3841 0.3841  3 P 2.50
Pd 0.3841 0.3841 0.8478  3 P 2.50
Pd 0.3841 0.8478 0.3841  3 P 2.50
Pd 0.6159 0.1522 0.6159  3 P 2.50
Pd 0.6159 0.6159 0.1522  3 P 2.50
Pd 0.6159 0.6159 0.6159  3 P 2.50
Pd 0.6550 0.0000 0.0000  2 P 2.40
Pd 0.6550 0.0000 0.3450  2 P 2.40
Pd 0.6550 0.3450 0.0000  2 P 2.40
Pd 0.8478 0.3841 0.3841  3 P 2.50

Computed properties:
- Calculated formation energy: -731 meV per atom
- Total DFT energy (no corrections): -5.900 eV per atom

---

What did the first record say?
U2AlCo2 after structural relaxation, computed with GGA-PBE.

Cell: 7.0867 7.0867 3.3947 Å, 90.00 90.00 90.00°
With the nearest neighbours (Å) after each atom.
Fractional coordinates of all 10 atoms:
U 0.1717 0.3283 0.0000  6 Co 2.56-2.78
U 0.3283 0.8283 0.0000  6 Co 2.56-2.78
U 0.6717 0.1717 0.0000  6 Co 2.56-2.78
U 0.8283 0.6717 0.0000  6 Co 2.56-2.78
Al 0.0000 0.0000 0.5000  4 Co 2.75
Al 0.5000 0.5000 0.5000  4 Co 2.75
Co 0.1372 0.6372 0.5000  6 U 2.56-2.78, 2 Al 2.75, 1 Co 2.75
Co 0.3628 0.1372 0.5000  6 U 2.56-2.78, 2 Al 2.75, 1 Co 2.75
Co 0.6372 0.8628 0.5000  6 U 2.56-2.78, 2 Al 2.75, 1 Co 2.75
Co 0.8628 0.3628 0.5000  6 U 2.56-2.78, 2 Al 2.75, 1 Co 2.75

Computed properties:
- Calculated formation energy: -254 meV per atom
- Total DFT energy (no corrections): -8.363 eV per atom

---

Question: Which formula does entry 1 have?
Answer: U2AlCo2